No. 1
Material: KLiSb3O8
Method: DFT, GGA-PBE
State: optimized geometry

abc: 6.4863 7.6474 7.6956
angles: 86.04 78.51 77.38
Closest atoms and distances in Å follow each position.
Space group P1 (No. 1)
Inequivalent atoms, fractional coordinates:
K 0.0000 0.0000 0.0000 [1 per cell]  3 O 2.81-3.02
K 0.4987 0.0150 0.9757 [1 per cell]  4 O 2.82-3.14
Li 0.0030 0.5535 0.2222 [1 per cell]  3 O 1.92-2.11
Li 0.6304 0.8091 0.4941 [1 per cell]  3 O 1.98-2.05
Sb 0.1102 0.8443 0.5084 [1 per cell]  5 O 1.89-2.10
Sb 0.2831 0.2075 0.4752 [1 per cell]  6 O 1.97-2.16
Sb 0.3611 0.5148 0.8338 [1 per cell]  5 O 1.95-2.10
Sb 0.5059 0.5517 0.1956 [1 per cell]  6 O 1.98-2.15
Sb 0.7731 0.2091 0.4777 [1 per cell]  6 O 1.98-2.18
Sb 0.8574 0.5204 0.8280 [1 per cell]  6 O 2.11-2.35
O 0.0935 0.0824 0.3397 [1 per cell]  3 Sb 2.16-2.18
O 0.1209 0.6774 0.7234 [1 per cell]  2 Sb 2.02-2.06
O 0.1481 0.3735 0.9359 [1 per cell]  1 Sb 1.95
O 0.2706 0.9897 0.6308 [1 per cell]  2 Sb 1.99-2.06
O 0.2824 0.4094 0.3016 [1 per cell]  2 Sb 1.97-2.01, 1 Li 2.09
O 0.2908 0.6763 0.0445 [1 per cell]  2 Sb 2.02-2.03
O 0.4087 0.7405 0.3744 [1 per cell]  2 Sb 1.98-2.02, 1 Li 2.03
O 0.4655 0.3120 0.6280 [1 per cell]  3 Sb 2.11-2.20
O 0.5839 0.6353 0.7056 [1 per cell]  2 Sb 1.95-2.16, 1 Li 2.05
O 0.5880 0.0905 0.3578 [1 per cell]  2 Sb 2.04
O 0.5970 0.3767 0.9744 [1 per cell]  3 Sb 2.10-2.28
O 0.7356 0.6741 0.0583 [1 per cell]  2 Sb 2.01-2.11
O 0.7550 0.4094 0.3005 [1 per cell]  2 Sb 1.98-2.02, 1 Li 2.11
O 0.8233 0.9999 0.6455 [1 per cell]  2 Sb 2.00-2.10
O 0.9394 0.7458 0.3854 [1 per cell]  1 Sb 1.89, 2 Li 1.92-1.98
O 0.9730 0.3249 0.5885 [1 per cell]  2 Sb 2.06

Values from the calculation:
Its relative energy among the computed polymorphs is 0.004 eV/atom. For the energy with MP2020 corrections, the calculation gives -6.1652 eV/atom. The magnetic moment is 0.00 μB per formula unit. The value obtained for the total energy is -149.3 eV per cell.

---

No. 2
Material: Sr3GaO4F
Method: DFT, GGA-PBE
State: optimized geometry

abc: 6.8499 6.8499 11.4974
angles: 90.00 90.00 90.00
Closest atoms and distances in Å follow each position.
Space group I4/mcm (No. 140)
Inequivalent atoms, fractional coordinates:
Sr 0.0000 0.0000 0.2500 [4 per cell]  2 F 2.87, 8 O 2.89
Sr 0.1674 0.3326 0.0000 [8 per cell]  6 O 2.44-2.72, 2 F 2.55
Ga 0.0000 0.5000 0.2500 [4 per cell]  4 O 1.88
O 0.1474 0.3526 0.3559 [16 per cell]  1 Ga 1.88
F 0.0000 0.0000 0.0000 [4 per cell]  4 Sr 2.55

Values from the calculation:
For the energy with MP2020 corrections, the calculation gives -6.4249 eV/atom. The value obtained for the total energy is -218.5 eV per cell.